Crystalline InCo22B6 at its relaxed geometry. Source: Materials Project, functional PBE.

The structure in CIF format:
```
data_InCo22B6
_cell_length_a 10.519
_cell_length_b 10.519
_cell_length_c 10.519
_cell_angle_alpha 90.00
_cell_angle_beta 90.00
_cell_angle_gamma 90.00
_space_group_name_H-M_alt 'F m -3 m'
_space_group_IT_number 225
_space_group_name_Hall '-F 4 2 3'
loop_
_atom_site_label
_atom_site_type_symbol
_atom_site_fract_x
_atom_site_fract_y
_atom_site_fract_z
In1 In 0.000 0.000 0.000
Co1 Co 0.000 0.173 0.173
Co2 Co 0.119 0.119 0.381
Co3 Co 0.250 0.250 0.250
B1 B 0.000 0.000 0.277
```

## Properties
- spin magnetization (μB per formula unit) = 27.7
- ΔH_f (0 K) (meV per atom) = -106